Entry 1:
PBE In2Bi4Pb4Se13, optimized geometry; size of the total moment = 0.02 Bohr magnetons per cell; energy relative to the elements = -16.79 eV per formula unit; total energy = -4.001 eV/atom; SG = Pbam, No. 55
1.0
-0.113 -1.122 -4.045
22.555 -2.987 0.197
-3.610 -26.769 7.524
In Bi Pb Se
8 16 16 52
Cartesian
3.858 -9.746 2.594
15.088 -20.009 5.126
3.168 -23.278 6.366
15.778 -6.477 1.354
-1.805 -13.384 3.762
11.278 -1.493 0.098
0.000 0.000 0.000
9.473 -14.878 3.860
1.678 -13.764 1.590
17.154 -17.113 2.085
4.244 -27.727 5.390
14.589 -3.150 -1.715
-0.064 -4.214 1.170
19.010 -25.541 6.550
8.418 -18.960 5.022
10.528 -10.795 2.699
7.701 -3.953 0.881
11.245 -25.802 6.840
0.995 -16.689 4.600
17.951 -13.066 3.121
7.120 -12.838 1.181
11.712 -18.039 2.494
-0.762 -25.417 4.889
19.595 -5.460 -1.215
-0.568 -9.874 0.574
19.400 -21.003 3.101
7.442 -24.558 4.421
11.391 -6.319 -0.747
7.445 -8.347 -0.074
11.387 -22.530 3.749
0.114 -20.999 3.640
18.718 -9.878 0.035
2.903 -7.093 -0.294
15.930 -23.784 3.969
4.830 -20.972 3.500
14.003 -9.905 0.175
3.891 -3.073 -1.437
14.942 -27.803 5.111
4.941 -16.836 2.350
13.891 -14.041 1.325
5.982 -5.375 -0.857
12.850 -25.502 4.532
2.313 -18.513 2.889
16.519 -12.364 0.786
2.882 -4.249 1.097
16.063 -25.506 6.623
5.566 -18.227 4.898
13.380 -11.528 2.822
9.617 -3.187 -1.565
9.216 -27.689 5.240
-0.614 -15.456 2.123
19.446 -15.421 1.552
-0.247 -6.587 -0.346
19.079 -24.290 4.021
8.003 -21.303 3.503
10.829 -9.574 0.172
7.638 -10.333 2.651
11.308 -19.423 5.069
-0.635 -22.861 6.357
19.581 -6.895 1.364
6.847 -14.315 3.778
12.099 -15.440 3.942
-0.927 -26.909 7.488
19.873 -2.846 0.233
1.597 -8.420 2.290
17.349 -21.335 5.430
5.701 -22.587 6.103
13.245 -7.168 1.617
5.219 -7.614 1.965
13.726 -22.141 5.755
2.419 -20.867 5.718
16.527 -8.889 2.002
6.177 -1.411 0.218
12.769 -28.344 7.502
3.139 -14.632 3.969
15.807 -15.123 3.751
9.240 -6.295 1.487
9.706 -23.461 6.234
-1.111 -18.547 5.174
20.056 -11.208 2.546
-0.118 -2.471 -1.491
18.951 -28.406 5.166
8.970 -17.297 2.365
9.863 -13.580 1.309
4.063 -11.874 0.999
14.769 -19.003 2.676
2.443 -25.283 4.762
16.390 -5.594 -1.088
0.222 -11.711 3.241
18.724 -18.044 4.479
6.156 -26.120 7.070
12.790 -3.635 0.650

Entry 2:
PBE In4Bi3S10, optimized geometry; size of the total moment = 0.01 Bohr magnetons per cell; energy relative to the elements = -12.51 eV per formula unit; total energy = -4.207 eV/atom; SG = P1, No. 1
1.0
-2.147 -7.258 -1.709
6.652 -4.008 8.773
-15.279 2.339 9.263
In Bi S
16 12 40
Cartesian
-0.195 -4.414 1.444
-1.493 -3.849 9.515
-2.567 -7.499 8.706
-4.613 -3.968 14.163
-5.643 -7.660 13.257
-9.234 -8.866 14.146
-5.008 -5.135 10.409
-8.138 -5.255 15.055
0.982 -6.267 7.862
-1.275 -8.045 0.573
-6.172 -8.672 9.590
-0.088 -9.897 6.997
4.650 -5.184 7.442
3.576 -8.809 6.590
-0.820 -3.017 5.087
-1.888 -6.657 4.243
-8.087 -2.708 11.320
-8.951 -5.641 10.633
-4.663 -2.286 6.876
-5.781 -5.853 5.941
-11.630 -2.778 8.878
-12.214 -1.529 13.128
-13.298 -5.175 12.268
-4.076 -3.561 2.666
-12.642 -6.470 8.214
-5.138 -7.155 1.828
-8.188 -2.253 4.452
-7.284 0.676 5.215
-2.139 -7.261 -1.698
-11.471 -6.081 5.041
-11.256 -3.516 11.522
-0.631 -6.271 9.966
0.053 -3.797 7.351
-1.027 -7.436 6.516
0.424 -2.664 10.811
2.779 -6.356 5.960
-6.994 -3.547 6.574
-2.528 -1.407 9.200
-7.607 -8.814 11.849
-13.198 -0.677 10.756
-14.278 -4.328 9.893
-3.090 -4.418 5.033
-5.048 -1.562 4.249
-6.190 -5.161 3.364
1.442 -1.522 4.696
-3.094 -3.997 11.867
-4.204 -7.599 10.992
-12.226 -7.199 10.758
-3.538 -5.041 8.309
-9.013 -2.842 14.598
-10.064 -6.437 13.759
1.717 -9.982 5.099
-1.066 -3.643 -0.820
-1.387 -2.288 2.686
-2.458 -5.921 1.830
-4.162 -8.031 4.193
-5.926 0.001 7.442
-10.413 -2.382 5.864
-5.862 -2.687 9.925
-6.957 -6.220 9.047
-12.746 -0.045 7.481
-13.768 -3.682 6.602
-9.292 -1.509 9.206
-10.355 -5.069 8.369
-6.567 -5.171 12.680
0.373 -5.159 3.843
2.851 -5.092 9.338
1.771 -8.726 8.487

Entry 3:
PBE InBiSe3, optimized geometry; size of the total moment = 0.00 Bohr magnetons per cell; energy relative to the elements = -3.55 eV per formula unit; total energy = -3.853 eV/atom; SG = R3m, No. 160
1.0
-5.056 7.219 5.246
-8.076 5.584 2.969
-6.963 3.791 6.508
In Bi Se
1 1 3
Cartesian
-8.004 6.610 5.865
-12.143 10.028 8.897
-15.578 12.864 11.413
-4.377 3.615 3.207
-0.086 0.071 0.063

Entry 4:
PBE Sr5In2Bi6, optimized geometry; energy relative to the elements = -8.61 eV per formula unit; total energy = -3.531 eV/atom; SG = Pbam, No. 55
1.0
-2.656 3.931 -0.814
-5.731 -2.903 4.681
10.428 11.118 19.665
Sr In Bi
10 4 12
Cartesian
-1.328 1.966 -0.407
-3.220 2.435 8.031
-2.592 3.729 12.230
-0.242 4.006 5.903
-3.101 1.582 3.526
4.632 8.418 11.301
2.282 8.140 17.629
1.020 6.073 11.766
5.260 9.711 15.500
5.141 10.564 20.005
8.171 9.273 18.115
-3.475 -1.058 6.230
2.094 3.276 8.988
2.602 4.939 15.358
-0.658 4.431 9.309
-3.971 -2.002 3.291
2.698 7.716 14.222
4.073 4.972 10.716
8.667 10.217 21.055
1.528 4.792 18.153
3.168 3.423 6.193
0.623 3.244 13.629
-0.174 3.343 2.477
2.214 8.804 21.055
5.678 7.613 18.234
-0.982 0.602 6.112

Entry 5:
PBE In3BiTe4, optimized geometry; size of the total moment = 0.00 Bohr magnetons per cell; energy relative to the elements = -2.85 eV per formula unit; total energy = -3.235 eV/atom; SG = I422, No. 97
1.0
-4.208 4.208 3.649
4.208 -4.208 3.649
4.208 4.208 -3.649
In Bi Te
3 1 4
Cartesian
0.000 4.208 0.000
4.208 0.000 0.000
0.000 0.000 3.649
0.000 0.000 0.000
1.598 5.807 1.825
-1.598 2.610 1.825
5.807 -1.598 1.825
2.610 1.598 1.825

Entry 6:
PBE Bi4Ir, optimized geometry; energy relative to the elements = -0.05 eV per formula unit; total energy = -4.889 eV/atom; SG = R-3m, No. 166
1.0
8.076 -13.329 0.000
8.076 13.329 0.000
-13.920 0.000 7.008
Bi Ir
36 9
Cartesian
10.490 -1.572 0.346
-2.348 9.351 4.436
-4.942 -7.779 5.263
-4.942 7.779 5.263
-2.348 -9.351 4.436
10.490 1.572 0.346
-8.258 1.572 6.662
4.581 -9.351 2.571
7.175 7.779 1.745
7.175 -7.779 1.745
4.581 9.351 2.571
-8.258 -1.572 6.662
7.625 -1.666 2.310
-0.382 6.518 4.860
-3.132 -4.852 5.737
-3.132 4.852 5.737
-0.382 -6.518 4.860
7.625 1.666 2.310
-5.392 1.666 4.698
2.614 -6.518 2.147
5.364 4.852 1.271
5.364 -4.852 1.271
2.614 6.518 2.147
-5.392 -1.666 4.698
-0.600 -2.394 2.670
3.350 0.000 1.412
-0.600 2.394 2.670
2.832 2.394 4.338
-1.118 0.000 5.596
2.832 -2.394 4.338
2.479 3.472 1.176
-3.251 0.000 3.002
2.479 -3.472 1.176
-0.246 -3.472 5.832
5.484 0.000 4.006
-0.246 3.472 5.832
1.116 4.511 3.504
-2.606 -2.255 4.690
4.839 -2.255 2.318
4.839 2.255 2.318
-2.606 2.255 4.690
1.116 -4.511 3.504
8.076 0.000 0.000
-2.922 6.664 3.504
-2.922 -6.664 3.504

Entry 7:
PBE Bi2Ir, optimized geometry; energy relative to the elements = -0.08 eV per formula unit; total energy = -5.567 eV/atom; SG = P2_1/c, No. 14
1.0
-2.388 6.151 -2.007
-6.475 -2.662 -0.454
-3.931 0.393 5.879
Bi Ir
8 4
Cartesian
-5.756 0.531 -0.011
-5.588 4.485 0.055
-7.038 3.351 3.429
-7.206 -0.602 3.362
-8.524 1.786 0.535
-1.761 0.501 0.400
-4.270 2.096 2.883
-11.033 3.381 3.018
-8.226 4.304 -0.651
-3.782 2.420 0.137
-4.568 -0.422 4.068
-9.013 1.462 3.280

Entry 8:
PBE Bi3IrO2, optimized geometry; size of the total moment = 0.00 Bohr magnetons per cell; energy relative to the elements = -4.53 eV per formula unit; total energy = -5.594 eV/atom; SG = Pnma, No. 62
1.0
0.000 -3.765 0.000
-10.123 0.000 0.000
0.000 0.000 -13.015
Bi Ir O
12 4 8
Cartesian
-1.995 -2.824 -5.150
-7.056 -2.824 -1.358
-8.129 -0.941 -7.865
-3.067 -0.941 -11.657
-1.105 -2.824 -9.054
-6.166 -2.824 -10.468
-9.019 -0.941 -3.961
-3.957 -0.941 -2.546
-1.273 -2.824 -1.179
-6.334 -2.824 -5.328
-8.851 -0.941 -11.836
-3.789 -0.941 -7.686
-4.119 -2.824 -0.444
-9.181 -2.824 -6.063
-6.004 -0.941 -12.570
-0.943 -0.941 -6.952
-9.042 -2.824 -0.297
-3.980 -2.824 -6.210
-1.081 -0.941 -12.717
-6.143 -0.941 -6.805
-3.349 -2.824 -9.222
-8.411 -2.824 -10.299
-6.774 -0.941 -3.792
-1.712 -0.941 -2.715

Entry 9:
PBE Bi12IrO20, optimized geometry; size of the total moment = 1.00 Bohr magnetons per cell; energy relative to the elements = -49.96 eV per formula unit; total energy = -5.779 eV/atom; SG = I23, No. 197
1.0
8.470 2.809 -0.895
-0.093 -7.929 4.190
-3.738 -0.859 -8.107
Bi Ir O
12 1 20
Cartesian
3.457 -1.431 -0.610
1.059 -4.830 -4.328
6.603 -2.995 0.704
0.966 -1.021 -3.521
-1.840 -2.701 -5.391
3.943 -5.122 -1.186
2.404 -0.153 -6.875
1.966 -5.661 1.956
0.341 -3.688 -0.811
-1.193 -6.921 -1.935
5.680 0.879 -2.588
4.451 -2.228 -4.291
0.000 0.000 0.000
1.790 -2.306 -1.857
5.203 1.726 -0.550
-0.057 -4.870 2.574
-2.296 -0.528 -4.980
4.778 -3.174 -1.152
-1.146 -5.117 -4.691
5.964 -0.971 -0.052
2.461 -1.915 -4.951
-0.317 -2.696 -3.730
4.383 -5.411 1.005
0.358 -0.526 -6.009
2.078 -4.105 0.330
0.841 -5.323 -2.278
-0.485 -6.023 0.007
3.880 -0.469 -2.451
5.043 -0.142 -4.903
3.626 -4.673 -3.761
1.850 0.614 -0.196
-0.020 -1.732 0.915
-0.816 -0.188 -1.771